1.
Here is a geometry-optimized MnCoSb structure from Materials Project. Energies are from PBE-GGA.

Theoretical density, g cm⁻³: 7.91
Space-group type: F-43m (216)
DFT formation energy, meV/atom: 140
Total moment, μB per formula unit: 3.68

Lattice parameters (Å, degrees): 4.1208 4.1208 4.1208 60.00 60.00 60.00
Element x y z (fractional)
Mn: 0.0000 0.0000 0.0000
Co: 0.7500 0.7500 0.7500
Sb: 0.2500 0.2500 0.2500

=====

2.
Here is a geometry-optimized MnCoSb structure from Materials Project. Energies are from PBE-GGA.

Theoretical density, g cm⁻³: 8.08
Space-group type: Fm-3m (225)
DFT formation energy, meV/atom: -181

Lattice parameters (Å, degrees): 8.1811 8.1811 8.1811 60.00 60.00 60.00
Element x y z (fractional)
Mn: 0.0000 0.0000 0.0000
Mn: 0.0000 0.0000 0.5000
Mn: 0.0000 0.5000 0.0000
Mn: 0.0000 0.5000 0.5000
Mn: 0.5000 0.0000 0.0000
Mn: 0.5000 0.0000 0.5000
Mn: 0.5000 0.5000 0.0000
Mn: 0.5000 0.5000 0.5000
Co: 0.1208 0.1208 0.1208
Co: 0.1208 0.1208 0.6376
Co: 0.1208 0.6376 0.1208
Co: 0.3624 0.8792 0.8792
Co: 0.6376 0.1208 0.1208
Co: 0.8792 0.3624 0.8792
Co: 0.8792 0.8792 0.3624
Co: 0.8792 0.8792 0.8792
Sb: 0.2500 0.2500 0.2500
Sb: 0.2680 0.2680 0.7320
Sb: 0.2680 0.7320 0.2680
Sb: 0.2680 0.7320 0.7320
Sb: 0.7320 0.2680 0.2680
Sb: 0.7320 0.2680 0.7320
Sb: 0.7320 0.7320 0.2680
Sb: 0.7500 0.7500 0.7500

=====

3.
Here is a geometry-optimized MnCoSe2 structure from Materials Project. Energies are from PBE-GGA.

Theoretical density, g cm⁻³: 6.50
Space-group type: R-3m (166)
ΔE to the lowest computed polymorph, eV per atom: 0.033
DFT formation energy, meV/atom: -380
Total moment, μB per formula unit: 5.98

Lattice parameters (Å, degrees): 6.1539 6.1539 6.1539 35.27 35.27 35.27
Element x y z (fractional)
Mn: 0.0000 0.0000 0.0000
Co: 0.5000 0.5000 0.5000
Se: 0.2422 0.2422 0.2422
Se: 0.7578 0.7578 0.7578

=====

4.
Here is a geometry-optimized MnCoSe2 structure from Materials Project. Energies are from PBE-GGA.

Theoretical density, g cm⁻³: 7.68
Space-group type: P-3m1 (164)
ΔE to the lowest computed polymorph, eV per atom: 0.000
DFT formation energy, meV/atom: -413
Total moment, μB per formula unit: 2.20

Lattice parameters (Å, degrees): 3.5771 3.5771 5.3061 90.00 90.00 120.00
Element x y z (fractional)
Mn: 0.0000 0.0000 0.0000
Co: 0.0000 0.0000 0.5000
Se: 0.3333 0.6667 0.2512
Se: 0.6667 0.3333 0.7488

=====

Number 1: corrected total energy (MP2020 scheme) -19.980 eV per cell. Number 2: corrected total energy (MP2020 scheme) -167.542 eV per cell. Number 3: corrected total energy (MP2020 scheme) -24.783 eV per cell. Number 4: corrected total energy (MP2020 scheme) -24.914 eV per cell.